26
Lattice="5.0722 0.0000 0.0000 0.0000 9.6308 0.0000 -1.2798 0.0000 7.4065" Properties=species:S:1:pos:R:3 comment="LaV3O9, relaxed, DFT GGA+U" spacegroup="P2_1/m (11)" pbc="T T T"
La 0.4316 2.4077 0.0064
La 3.3608 7.2231 7.4001
V 0.4960 7.2231 4.8331
V 1.8468 5.5132 2.2269
V 1.8468 8.9329 2.2269
V 1.9455 0.6978 5.1796
V 1.9455 4.1175 5.1796
V 3.2963 2.4077 2.5734
O -0.1075 2.4077 2.5886
O 0.9239 0.1171 1.0809
O 0.9239 4.6983 1.0809
O 1.0542 7.2231 2.0262
O 0.4482 1.0675 5.8213
O 0.4482 3.7479 5.8213
O 0.8167 7.2231 6.5005
O 1.2476 5.7004 4.1486
O 1.2476 8.7458 4.1486
O 2.5447 0.8850 3.2579
O 2.5447 3.9304 3.2579
O 2.9756 2.4077 0.9059
O 3.3442 5.8829 1.5852
O 3.3442 8.5633 1.5852
O 2.7381 2.4077 5.3803
O 2.8684 4.9325 6.3256
O 2.8684 9.5136 6.3256
O 3.8999 7.2231 4.8179

***

20
Lattice="5.5909 0.0000 0.0000 -0.0114 5.6774 0.0000 -0.0074 -0.0004 7.9417" Properties=species:S:1:pos:R:3 comment="LaVO3, relaxed, DFT GGA+U" spacegroup="P-1 (2)" pbc="T T T"
La 0.0606 0.2482 1.9843
La 2.7244 3.0874 1.9867
La 2.8478 2.5896 5.9550
La 5.5115 5.4288 5.9573
V -0.0057 2.8387 0.0000
V -0.0094 2.8385 3.9708
V 2.7955 0.0000 0.0000
V 2.7918 -0.0002 3.9708
O 0.4760 2.9456 5.9550
O 1.1519 4.4612 0.3598
O 1.1505 4.4632 3.6097
O 1.6314 1.6240 0.3597
O 1.6273 1.6233 3.6100
O 2.3010 0.1041 5.9571
O 3.2711 5.5729 1.9846
O 3.9449 4.0537 4.3317
O 3.9407 4.0530 7.5819
O 4.4216 1.2138 4.3320
O 4.4203 1.2158 7.5819
O 5.0961 2.7315 1.9866

***

24
Lattice="6.8043 0.0000 0.0000 0.0000 7.3533 0.0000 -4.9198 0.0000 6.8859" Properties=species:S:1:pos:R:3 comment="LaVO4, relaxed, DFT GGA+U" spacegroup="P2_1/c (14)" pbc="T T T"
La -0.1495 1.1326 1.9223
La -2.6094 2.5440 5.3652
La 4.4939 4.8092 1.5206
La 2.0341 6.2207 4.9636
V 1.1500 4.8783 1.3750
V -1.3098 6.1516 4.8180
V 3.1944 1.2016 2.0679
V 0.7345 2.4750 5.5109
O -2.2449 4.8112 4.2184
O 0.2150 6.2188 0.7754
O -2.5106 0.0269 5.1769
O -0.0507 3.6498 1.7339
O 2.2681 4.4347 0.1333
O -0.1917 6.5952 3.5762
O 2.0738 1.6043 0.7995
O -0.3861 2.0724 4.2424
O 2.2706 5.2809 2.6435
O -0.1893 5.7490 6.0864
O 2.0763 0.7581 3.3097
O -0.3836 2.9186 6.7526
O 1.9353 3.7035 5.1520
O 4.3951 7.3264 1.7090
O 1.6696 1.1345 6.1104
O 4.1294 2.5421 2.6675

***

no.,MP2020-corrected energy (eV per atom),calculated formation energy (eV/atom)
1,-8.5970,-2.696
2,-9.0521,-3.279
3,-8.8242,-3.189